This record from the Materials Project database describes a relaxed Ba2LuMgSbO6 crystal. The functional is PBE.

a = 6.0733 Å, b = 6.2200 Å, c = 9.8143 Å
α = 90.00°, β = 90.00°, γ = 90.00°
Closest atoms and distances in Å follow each position.
Space group Immm (No. 71)
Inequivalent atoms, fractional coordinates:
Ba1 0.0000 0.0000 0.1933 x4  8 O 2.99-3.14, 1 Mg 3.01
Lu1 0.0000 0.5000 0.0000 x2  6 O 2.14-2.35
Mg1 0.0000 0.0000 0.5000 x2  4 O 2.04
Sb1 0.0000 0.5000 0.5000 x2  4 O 2.21
O1 0.0000 0.5000 0.2390 x4  1 Lu 2.35, 1 Sb 2.56
O2 0.2379 0.2305 0.5000 x8  1 Mg 2.04, 1 Lu 2.14, 1 Sb 2.21

Results
excess energy over the best structure of this formula in the dataset	0.225	eV/atom
total moment	0.000	μB/atom
calculated density	6.2	Mg/m³
formation energy from the elements	-2.6041	eV/atom